A plane-wave DFT calculation with PBE was carried out for an optimized crystal structure of Al2Si2Pb2O9.

Cell and atoms, written as CIF:
```
data_Al2Si2Pb2O9
_space_group_name_H-M_alt 'P 1'
_space_group_IT_number 1
_cell_length_a 6.972
_cell_length_b 10.846
_cell_length_c 9.867
_cell_angle_alpha 90.00
_cell_angle_beta 90.00
_cell_angle_gamma 90.00
loop_
_space_group_symop_operation_xyz
'x,y,z'
loop_
_atom_site_label
_atom_site_fract_x
_atom_site_fract_y
_atom_site_fract_z
Al1 0.000 0.000 0.000
Al2 0.000 0.000 0.500
Al3 0.000 0.146 0.250
Al4 0.000 0.854 0.750
Al5 0.500 0.354 0.750
Al6 0.500 0.500 0.000
Al7 0.500 0.500 0.500
Al8 0.500 0.646 0.250
Si1 0.217 0.412 0.249
Si2 0.217 0.588 0.749
Si3 0.283 0.088 0.749
Si4 0.283 0.912 0.249
Si5 0.717 0.088 0.751
Si6 0.717 0.912 0.251
Si7 0.783 0.412 0.251
Si8 0.783 0.588 0.751
Pb1 0.050 0.304 0.549
Pb2 0.050 0.696 0.049
Pb3 0.450 0.196 0.049
Pb4 0.450 0.804 0.549
Pb5 0.550 0.196 0.451
Pb6 0.550 0.804 0.951
Pb7 0.950 0.304 0.951
Pb8 0.950 0.696 0.451
O1 0.000 0.477 0.250
O2 0.000 0.523 0.750
O3 0.109 0.141 0.078
O4 0.109 0.859 0.578
O5 0.153 0.007 0.337
O6 0.153 0.993 0.837
O7 0.185 0.274 0.316
O8 0.185 0.726 0.816
O9 0.192 0.106 0.596
O10 0.192 0.894 0.096
O11 0.308 0.394 0.096
O12 0.308 0.606 0.596
O13 0.315 0.226 0.816
O14 0.315 0.774 0.316
O15 0.347 0.493 0.837
O16 0.347 0.507 0.337
O17 0.391 0.359 0.578
O18 0.391 0.641 0.078
O19 0.500 0.023 0.750
O20 0.500 0.977 0.250
O21 0.609 0.359 0.922
O22 0.609 0.641 0.422
O23 0.653 0.493 0.663
O24 0.653 0.507 0.163
O25 0.685 0.226 0.684
O26 0.685 0.774 0.184
O27 0.692 0.394 0.404
O28 0.692 0.606 0.904
O29 0.808 0.106 0.904
O30 0.808 0.894 0.404
O31 0.815 0.274 0.184
O32 0.815 0.726 0.684
O33 0.847 0.007 0.163
O34 0.847 0.993 0.663
O35 0.891 0.141 0.422
O36 0.891 0.859 0.922
```

Output
Density in g/cm3: 5.95
ΔE_f in meV/atom: -2874



A plane-wave DFT calculation with PBE was carried out for an optimized crystal structure of CsTi6Se8.

Cell and atoms, written as CIF:
```
data_CsTi6Se8
_space_group_name_H-M_alt 'P 1'
_space_group_IT_number 1
_cell_length_a 3.596
_cell_length_b 10.055
_cell_length_c 10.058
_cell_angle_alpha 60.03
_cell_angle_beta 89.98
_cell_angle_gamma 90.00
loop_
_space_group_symop_operation_xyz
'x,y,z'
loop_
_atom_site_label
_atom_site_fract_x
_atom_site_fract_y
_atom_site_fract_z
Cs1 0.000 0.000 0.000
Ti1 0.249 0.132 0.508
Ti2 0.249 0.361 0.131
Ti3 0.249 0.508 0.360
Ti4 0.751 0.492 0.640
Ti5 0.751 0.639 0.869
Ti6 0.751 0.868 0.492
Se1 0.250 0.667 0.667
Se2 0.253 0.051 0.305
Se3 0.253 0.306 0.643
Se4 0.253 0.644 0.051
Se5 0.747 0.356 0.949
Se6 0.747 0.694 0.357
Se7 0.747 0.949 0.695
Se8 0.750 0.333 0.333
```

Output
Density in g/cm3: 5.54
ΔE_f in meV/atom: -1469



A plane-wave DFT calculation with PBE was carried out for an optimized crystal structure of Sr2Ti2Bi2OF2.

Cell and atoms, written as CIF:
```
data_Sr2Ti2Bi2OF2
_space_group_name_H-M_alt 'P 1'
_space_group_IT_number 1
_cell_length_a 11.413
_cell_length_b 11.413
_cell_length_c 11.413
_cell_angle_alpha 159.18
_cell_angle_beta 159.18
_cell_angle_gamma 29.61
loop_
_space_group_symop_operation_xyz
'x,y,z'
loop_
_atom_site_label
_atom_site_fract_x
_atom_site_fract_y
_atom_site_fract_z
Sr1 0.186 0.186 0.000
Sr2 0.814 0.814 0.000
Ti1 0.000 0.500 0.500
Ti2 0.500 0.000 0.500
Bi1 0.403 0.403 0.000
Bi2 0.597 0.597 0.000
O1 0.000 0.000 0.000
F1 0.250 0.750 0.500
F2 0.750 0.250 0.500
```

Output
Density in g/cm3: 6.57
ΔE_f in meV/atom: -2292



A plane-wave DFT calculation with PBE was carried out for an optimized crystal structure of Mn3Cd.

Cell and atoms, written as CIF:
```
data_Mn3Cd
_space_group_name_H-M_alt 'P 1'
_space_group_IT_number 1
_cell_length_a 4.472
_cell_length_b 4.472
_cell_length_c 4.472
_cell_angle_alpha 60.00
_cell_angle_beta 60.00
_cell_angle_gamma 60.00
loop_
_space_group_symop_operation_xyz
'x,y,z'
loop_
_atom_site_label
_atom_site_fract_x
_atom_site_fract_y
_atom_site_fract_z
Mn1 0.000 0.000 0.000
Mn2 0.250 0.250 0.250
Mn3 0.750 0.750 0.750
Cd1 0.500 0.500 0.500
```

Output
Density in g/cm3: 7.28
ΔE_f in meV/atom: 527



A plane-wave DFT calculation with PBE was carried out for an optimized crystal structure of Sc2Si2Ru.

Cell and atoms, written as CIF:
```
data_Sc2Si2Ru
_space_group_name_H-M_alt 'P 1'
_space_group_IT_number 1
_cell_length_a 5.453
_cell_length_b 5.453
_cell_length_c 9.502
_cell_angle_alpha 115.80
_cell_angle_beta 115.80
_cell_angle_gamma 44.12
loop_
_space_group_symop_operation_xyz
'x,y,z'
loop_
_atom_site_label
_atom_site_fract_x
_atom_site_fract_y
_atom_site_fract_z
Sc1 0.005 0.005 0.177
Sc2 0.182 0.182 0.608
Sc3 0.818 0.818 0.392
Sc4 0.995 0.995 0.823
Si1 0.361 0.361 0.935
Si2 0.488 0.488 0.622
Si3 0.512 0.512 0.378
Si4 0.639 0.639 0.065
Ru1 0.270 0.270 0.130
Ru2 0.730 0.730 0.870
```

Output
Density in g/cm3: 4.73
ΔE_f in meV/atom: -889



A plane-wave DFT calculation with PBE was carried out for an optimized crystal structure of H6AuC3NO.

Cell and atoms, written as CIF:
```
data_H6AuC3NO
_space_group_name_H-M_alt 'P 1'
_space_group_IT_number 1
_cell_length_a 8.901
_cell_length_b 10.696
_cell_length_c 11.288
_cell_angle_alpha 118.13
_cell_angle_beta 92.95
_cell_angle_gamma 110.89
loop_
_space_group_symop_operation_xyz
'x,y,z'
loop_
_atom_site_label
_atom_site_fract_x
_atom_site_fract_y
_atom_site_fract_z
H1 0.016 0.372 0.332
H2 0.049 0.695 0.336
H3 0.059 0.263 0.171
H4 0.084 0.348 0.891
H5 0.098 0.221 0.613
H6 0.099 0.369 0.578
H7 0.149 0.045 0.815
H8 0.153 0.977 0.071
H9 0.160 0.290 0.328
H10 0.163 0.825 0.092
H11 0.200 0.558 0.003
H12 0.259 0.927 0.780
H13 0.282 0.648 0.779
H14 0.306 0.432 0.953
H15 0.320 0.925 0.035
H16 0.365 0.134 0.902
H17 0.409 0.545 0.712
H18 0.426 0.646 0.896
H19 0.574 0.354 0.104
H20 0.591 0.455 0.288
H21 0.635 0.866 0.098
H22 0.680 0.075 0.965
H23 0.694 0.568 0.047
H24 0.718 0.352 0.221
H25 0.741 0.073 0.220
H26 0.800 0.442 0.997
H27 0.837 0.175 0.908
H28 0.840 0.710 0.672
H29 0.847 0.023 0.929
H30 0.851 0.955 0.185
H31 0.901 0.631 0.422
H32 0.902 0.779 0.387
H33 0.916 0.652 0.109
H34 0.941 0.737 0.829
H35 0.951 0.305 0.664
H36 0.984 0.628 0.668
Au1 0.281 0.005 0.408
Au2 0.407 0.652 0.519
Au3 0.472 0.728 0.263
Au4 0.528 0.272 0.737
Au5 0.593 0.348 0.481
Au6 0.719 0.995 0.592
C1 0.020 0.268 0.586
C2 0.114 0.346 0.284
C3 0.192 0.443 0.979
C4 0.227 0.970 0.564
C5 0.237 0.939 0.104
C6 0.270 0.043 0.803
C7 0.278 0.529 0.220
C8 0.404 0.647 0.800
C9 0.450 0.189 0.285
C10 0.550 0.811 0.715
C11 0.596 0.353 0.200
C12 0.722 0.471 0.780
C13 0.730 0.957 0.197
C14 0.763 0.061 0.896
C15 0.773 0.030 0.436
C16 0.808 0.557 0.021
C17 0.886 0.654 0.716
C18 0.980 0.732 0.414
N1 0.253 0.493 0.316
N2 0.319 0.072 0.693
N3 0.333 0.052 0.251
N4 0.667 0.948 0.749
N5 0.681 0.928 0.307
N6 0.747 0.507 0.684
O1 0.094 0.846 0.550
O2 0.165 0.421 0.093
O3 0.465 0.210 0.175
O4 0.535 0.790 0.825
O5 0.835 0.579 0.907
O6 0.906 0.154 0.450
```

Output
Density in g/cm3: 3.14
ΔE_f in meV/atom: -202